Record 1
64
Lattice="-5.3918 0.3951 0.5885 -1.3207 -7.1185 -9.1435 2.3314 -8.7201 10.3031" Properties=species:S:1:pos:R:3 comment="Na5UH3S4O19 PBE relaxed" sg=P-1 ef_ev_per_fu=-70.20 crystal_system=triclinic corrected_energy_ev_per_atom=-6.5263 pbc="T T T"
Na -0.6603 -3.5592 -4.5717
Na -1.3289 -12.5381 3.4858
Na -3.0522 -2.9054 -1.7376
Na 1.1657 -4.3600 5.1516
Na -4.2747 -9.7950 3.6911
Na -0.1064 -5.6485 -1.9429
Na 0.2724 -11.4658 -0.2346
Na -4.6535 -3.9777 1.9828
Na -0.1694 -7.8338 9.0416
Na -4.2117 -7.6097 -7.2934
U -1.6202 -6.8028 3.7661
U -2.7609 -8.6407 -2.0179
H -1.3111 -6.9526 -6.8598
H -3.0700 -8.4909 8.6080
H -3.4804 -6.7207 7.5280
H -0.9007 -8.7228 -5.7798
H 1.0493 -8.3039 6.3447
H -5.4304 -7.1396 -4.5965
S -1.0418 -9.9961 5.4950
S -3.3393 -5.4474 -3.7468
S -2.5375 -12.3030 -2.0526
S -1.8436 -3.1405 3.8008
S -2.5165 -5.7194 0.3660
S -1.8646 -9.7241 1.3822
S -4.0956 -13.6155 2.6268
S -0.2855 -1.8280 -0.8786
O -0.8605 -9.8781 6.9496
O -3.5206 -5.5654 -5.2014
O -2.4429 -10.2938 5.1234
O -1.9382 -5.1497 -3.3752
O -0.1486 -11.0527 4.9302
O -4.2325 -4.3908 -3.1820
O -0.6016 -8.6800 4.8451
O -3.7795 -6.7635 -3.0969
O -1.8776 -12.7603 -0.8244
O -2.5035 -2.6832 2.5726
O -4.0190 -12.2888 -1.9136
O -0.3621 -3.1547 3.6618
O -0.7932 -6.0543 5.9399
O -3.5879 -9.3892 -4.1917
O -2.0306 -10.9181 -2.3963
O -2.3505 -4.5254 4.1445
O -3.2811 -10.0681 1.5769
O -1.1000 -5.3754 0.1713
O -0.9506 -10.7964 1.8426
O -3.4305 -4.6471 -0.0944
O -1.5385 -8.4740 2.1575
O -2.8426 -6.9695 -0.4093
O -2.8159 -5.9814 1.8149
O -1.5652 -9.4621 -0.0667
O 0.4960 -13.6572 0.8645
O -4.8771 -1.7863 0.8836
O -4.0157 -12.5290 3.6210
O -0.3654 -2.9145 -1.8729
O -2.7519 -14.1469 2.3117
O -1.6292 -1.2966 -0.5635
O -1.8657 -6.4672 -7.5981
O -2.5154 -8.9763 9.3463
O -3.1703 -7.3821 4.4886
O -1.2108 -8.0614 -2.7404
O -0.0889 -6.0859 3.0987
O -4.2922 -9.3576 -1.3505
O 1.4750 -7.9796 7.1657
O -5.8561 -7.4639 -5.4176

---

Record 2
62
Lattice="5.6064 -0.0507 -0.2435 -1.6127 11.1895 -0.1803 0.0220 0.1496 14.4058" Properties=species:S:1:pos:R:3 comment="Na6UH2S4O18 PBE relaxed" sg=P-1 ef_ev_per_fu=-63.67 crystal_system=triclinic corrected_energy_ev_per_atom=-6.2998 pbc="T T T"
Na 0.4934 2.6706 1.1320
Na 3.5223 8.6178 12.8500
Na 1.5485 0.5267 8.6566
Na 2.4673 10.7618 5.3254
Na 1.5493 2.4812 5.6326
Na 2.4665 8.8072 8.3494
Na 3.3367 5.9640 0.9598
Na 0.6791 5.3244 13.0221
Na -0.7953 5.6695 7.1128
Na 3.9358 2.5918 3.4507
Na 0.0800 8.6966 10.5312
Na 2.8032 -0.0253 -0.1218
U 0.2951 7.9642 3.5028
U 3.7207 3.3242 10.4792
H 1.3465 4.5314 7.6684
H 2.6693 6.7570 6.3135
H 0.7857 1.2553 13.3562
H 3.2301 10.0331 0.6257
S 0.9734 4.9044 3.4354
S 3.0424 6.3840 10.5466
S 0.5810 7.9988 -0.0790
S 3.4348 3.2896 14.0610
S 1.2318 0.3953 3.4433
S 2.7840 10.8931 10.5386
S -0.4067 8.8867 6.9370
S 4.4224 2.4017 7.0450
O -0.5794 10.1022 3.5011
O 4.5952 1.1862 10.4809
O 2.5093 0.8223 4.0846
O 1.5064 10.4661 9.8974
O 0.4822 5.7056 4.6186
O 3.5336 5.5829 9.3634
O -0.5094 8.0250 5.6873
O 4.5252 3.2635 8.2946
O 2.1934 3.8762 0.0877
O 1.8223 7.4122 13.8942
O 0.8484 8.5819 1.2950
O 3.1674 2.7065 12.6870
O 0.0986 1.0994 4.0955
O 3.9172 10.1890 9.8865
O 1.4138 5.9638 2.4515
O 2.6020 5.3247 11.5305
O 3.6952 1.9990 0.5726
O 0.3205 9.2894 13.4094
O -0.5785 7.0849 -0.0614
O 4.5942 4.2035 14.0434
O 1.2652 0.6415 1.9822
O 2.7506 10.6470 11.9998
O 0.0415 1.6322 7.1903
O 3.9743 9.6562 6.7917
O -0.3089 4.0121 11.3583
O 4.3247 7.2763 2.6237
O 2.0919 4.0319 3.8266
O 1.9239 7.2565 10.1554
O 2.1533 2.6476 9.8715
O 1.8625 8.6408 4.1104
O -0.3121 7.9320 8.0812
O 4.3279 3.3564 5.9008
O -0.1269 4.1109 2.8470
O 4.1427 7.1775 11.1349
O 3.2204 1.5379 7.0981
O 0.7953 9.7505 6.8839

---

Record 3
32
Lattice="-1.2623 -6.1893 -0.9152 1.7343 1.6289 7.5677 -7.5677 4.7863 -0.9007" Properties=species:S:1:pos:R:3 comment="NaZn2H3S2O8 PBE relaxed" sg=P-1 ef_ev_per_fu=-26.43 crystal_system=triclinic corrected_energy_ev_per_atom=-5.5192 pbc="T T T"
Na 0.2019 -0.9201 5.7706
Na -7.2976 1.1461 -0.0189
Zn -1.4070 0.0564 0.9598
Zn -5.6887 0.1696 4.7920
Zn -4.4150 -0.7015 -0.9080
Zn -3.7838 2.3932 -0.4503
H -1.7672 -1.2040 3.4761
H -5.3285 1.4300 2.2756
H -1.4693 0.3600 3.6658
H -5.6264 -0.1340 2.0860
H -3.8428 0.4790 1.3076
H -3.2529 -0.2530 4.4442
S -4.3305 3.0894 4.7901
S -1.1224 -3.9113 4.3065
S -2.7651 -2.8634 0.9617
S -5.9732 4.1373 1.4452
O -1.9228 -0.3030 3.0803
O -5.1728 0.5290 2.6715
O -3.3795 0.5087 0.4364
O -3.7162 -0.2827 5.3153
O -1.7979 -2.5569 4.6275
O -5.2978 2.7829 1.1242
O -6.1165 -0.9749 0.5435
O -0.9791 1.2009 5.2083
O -0.2885 -4.2468 5.5787
O -6.8071 4.4728 0.1730
O -3.5466 -2.6306 -0.3957
O -3.5491 2.8566 6.1475
O -5.6076 2.2344 5.0184
O -1.4881 -2.0084 0.7334
O -4.9167 4.4981 4.9098
O -2.1789 -4.2721 0.8420